# AlP | Materials Project | PBE | relaxed
# Total magnetization   0.000 μB/atom
# DFT formation energy   11 kJ/mol of formula units
# Calculated density   0.53 g/cm3
# Crystal system   tetragonal
data_AlP
_chemical_formula_sum 'Al4 P4'
_space_group_name_H-M_alt 'P 4/m b m'
_space_group_IT_number 127
_space_group_name_Hall '-P 4 2ab'
_cell_length_a 7.748
_cell_length_b 7.748
_cell_length_c 12.134
_cell_angle_alpha 90.00
_cell_angle_beta 90.00
_cell_angle_gamma 90.00
loop_
_atom_site_label
_atom_site_type_symbol
_atom_site_fract_x
_atom_site_fract_y
_atom_site_fract_z
Al1 Al 0.140 0.360 0.000
P1 P 0.154 0.654 0.000